Arrangement w

MgW2O4 PBE+U relaxed; magnetization = 6.00 μB/f.u.
1.0
-3.9816 -5.5337 -4.0847
-2.1882 -7.3378 -2.1278
-8.1415 -5.1320 2.7299
Mg W O
2 4 8
Direct
0.6846 0.6846 0.2997 Mg
0.3154 0.3154 0.7003 Mg
0.3636 0.3636 0.9513 W
0.8550 0.8550 0.3182 W
0.1450 0.1450 0.6818 W
0.6364 0.6364 0.0487 W
0.1431 0.1431 0.9017 O
0.5373 0.5373 0.7400 O
0.4627 0.4627 0.2600 O
0.8569 0.8569 0.0983 O
0.8293 0.8293 0.8283 O
0.2183 0.2183 0.4063 O
0.1707 0.1707 0.1717 O
0.7817 0.7817 0.5937 O



Arrangement x

MgW2O4 PBE+U relaxed; magnetization = 5.50 μB/f.u.
1.0
-0.8803 2.1870 5.8646
-0.4904 -4.1873 4.7093
20.0536 0.0937 6.2524
Mg W O
8 16 32
Direct
0.6363 0.6363 0.0298 Mg
0.1127 0.1127 0.1267 Mg
0.9102 0.9102 0.2810 Mg
0.3898 0.3898 0.3745 Mg
0.6206 0.6206 0.6230 Mg
0.5171 0.5171 0.4951 Mg
0.8684 0.8684 0.8767 Mg
0.7478 0.7478 0.7487 Mg
0.6139 0.1131 0.1232 W
0.2534 0.2534 0.2514 W
0.1131 0.6139 0.1232 W
0.1414 0.1414 0.5432 W
0.8972 0.3966 0.3790 W
0.5948 0.5948 0.2239 W
0.3880 0.3880 0.8122 W
0.3966 0.8972 0.3790 W
0.1287 0.6221 0.6188 W
0.8903 0.8903 0.4714 W
0.6221 0.1287 0.6188 W
0.8708 0.3676 0.8777 W
0.3676 0.8708 0.8777 W
0.1038 0.1038 0.6857 W
0.9823 0.9823 0.0086 W
0.3415 0.3415 0.9589 W
0.2810 0.8173 0.0647 O
0.9286 0.9286 0.1803 O
0.8173 0.2810 0.0647 O
0.8015 0.8015 0.0648 O
0.4255 0.4255 0.1775 O
0.5512 0.0999 0.3127 O
0.4044 0.9564 0.1874 O
0.2110 0.2110 0.4333 O
0.0999 0.5512 0.3127 O
0.2950 0.2950 0.0694 O
0.0790 0.0790 0.3200 O
0.9564 0.4044 0.1874 O
0.7791 0.3458 0.5586 O
0.7031 0.7031 0.4370 O
0.6844 0.2269 0.4334 O
0.4391 0.4391 0.6699 O
0.3458 0.7791 0.5586 O
0.5818 0.5818 0.3241 O
0.3298 0.3298 0.5532 O
0.2269 0.6844 0.4334 O
0.9179 0.9179 0.6827 O
0.0268 0.5774 0.8134 O
0.9190 0.4664 0.6830 O
0.6881 0.6881 0.9328 O
0.5774 0.0268 0.8134 O
0.8017 0.8017 0.5639 O
0.5751 0.5751 0.8139 O
0.4664 0.9190 0.6830 O
0.1499 0.1499 0.9459 O
0.1592 0.7207 0.9440 O
0.0485 0.0485 0.8285 O
0.7207 0.1592 0.9440 O



Taking the most stable structure as the zero point, the relative energies in meV per atom are arrangement w 15; arrangement x 0.



Arrangement w

LiMn2O4 PBE+U relaxed; magnetization = 7.00 μB/f.u.
1.0
-5.5112 1.8671 -0.1133
-1.6861 -5.4087 -1.3327
-3.8565 -2.6326 3.6109
Li Mn O
2 4 8
Direct
0.0000 0.5000 0.5000 Li
0.5000 0.0000 0.0000 Li
0.5000 0.0000 0.5000 Mn
0.5000 0.5000 0.5000 Mn
0.0000 0.5000 0.0000 Mn
0.5000 0.5000 0.0000 Mn
0.7510 0.2895 0.9845 O
0.7202 0.6983 0.0585 O
0.3017 0.2798 0.4415 O
0.2895 0.7510 0.4845 O
0.7105 0.2490 0.5155 O
0.6983 0.7202 0.5585 O
0.2798 0.3017 0.9415 O
0.2490 0.7105 0.0155 O



Arrangement x

LiMn2O4 PBE+U relaxed; magnetization = 6.99 μB/f.u.
1.0
-3.2159 -1.4852 4.4525
-4.3064 0.7292 -3.6463
4.0478 -3.6891 -1.5422
Li Mn O
2 4 8
Direct
0.5000 0.5000 0.0000 Li
0.0000 0.5000 0.5000 Li
0.5000 0.0000 0.0000 Mn
0.5000 0.5000 0.5000 Mn
0.0000 0.5000 0.0000 Mn
0.0000 0.0000 0.5000 Mn
0.2582 0.7727 0.5145 O
0.2418 0.2563 0.0145 O
0.7500 0.7124 0.4624 O
0.2500 0.7124 0.9624 O
0.7418 0.2273 0.4855 O
0.7582 0.7437 0.9855 O
0.2500 0.2876 0.5376 O
0.7500 0.2876 0.0376 O



Taking the most stable structure as the zero point, the relative energies in meV per atom are arrangement w 0; arrangement x 247.



Arrangement w

MgV2O4 PBE+U relaxed; magnetization = 2.01 μB/f.u.
1.0
-3.0303 5.2503 0.0048
3.0218 1.7497 4.9370
6.0348 -0.0151 0.0108
Mg V O
2 4 8
Direct
0.6250 0.6250 0.7500 Mg
0.1250 0.6250 0.7500 Mg
0.6250 0.6250 0.2500 V
0.9947 0.0044 0.9901 V
0.2553 0.2456 0.5099 V
0.6250 0.1250 0.2500 V
0.3886 0.3726 0.7769 O
0.3876 0.8504 0.7749 O
0.8624 0.3996 0.7251 O
0.8614 0.8774 0.7231 O
0.8569 0.3793 0.2429 O
0.3849 0.3791 0.2428 O
0.8651 0.8709 0.2572 O
0.3931 0.8707 0.2571 O



Arrangement x

MgV2O4 PBE+U relaxed; magnetization = 4.00 μB/f.u.
1.0
-2.6812 -1.5045 -0.3254
0.0234 3.0291 0.3311
-0.6597 -1.3007 -10.4561
Mg V O
1 2 4
Direct
0.8173 0.0975 0.7564 Mg
0.0179 0.0615 0.4886 V
0.0470 0.9302 0.0106 V
0.7238 0.3556 0.4117 O
0.6775 0.3092 0.0885 O
0.2290 0.7245 0.6343 O
0.4326 0.4991 0.8724 O



Taking the most stable structure as the zero point, the relative energies in meV per atom are arrangement w 0; arrangement x 150.



Arrangement w

Li2TiFeO4 PBE+U relaxed; magnetization = 0.00 μB/f.u.
1.0
0.0000 -3.4539 4.9071
2.9464 -8.3102 -2.1800
6.0030 -0.0336 -0.0236
Li Ti Fe O
8 4 4 16
Direct
0.5000 0.0000 0.5000 Li
0.0000 0.0000 0.0000 Li
0.2500 0.5000 0.7500 Li
0.7500 0.5000 0.2500 Li
0.7500 0.5000 0.7500 Li
0.2500 0.5000 0.2500 Li
0.5000 0.0000 0.0000 Li
0.0000 0.0000 0.5000 Li
0.6250 0.2500 0.6250 Ti
0.1250 0.2500 0.1250 Ti
0.3750 0.7500 0.8750 Ti
0.8750 0.7500 0.3750 Ti
0.6250 0.2500 0.1250 Fe
0.3750 0.7500 0.3750 Fe
0.1250 0.2500 0.6250 Fe
0.8750 0.7500 0.8750 Fe
0.5076 0.4848 0.5076 O
0.0076 0.4848 0.0076 O
0.2576 0.9848 0.7576 O
0.7576 0.9848 0.2576 O
0.7424 0.0152 0.7424 O
0.2424 0.0152 0.2424 O
0.4924 0.5152 0.9924 O
0.9924 0.5152 0.4924 O
0.8750 0.2500 0.3750 O
0.3750 0.2500 0.8750 O
0.6250 0.7500 0.6250 O
0.1250 0.7500 0.1250 O
0.8750 0.2500 0.8750 O
0.3750 0.2500 0.3750 O
0.6250 0.7500 0.1250 O
0.1250 0.7500 0.6250 O



Arrangement x

Li2TiFeO4 PBE+U relaxed; magnetization = 0.00 μB/f.u.
1.0
5.8492 -0.0290 -0.0214
0.0643 7.3069 5.1487
-0.0009 -3.3775 4.8056
Li Ti Fe O
8 4 4 16
Direct
0.2465 0.2498 0.7465 Li
0.7465 0.2499 0.2465 Li
0.7527 0.7489 0.2477 Li
0.2526 0.7489 0.7477 Li
0.5031 0.0323 0.5061 Li
0.0031 0.0323 0.0060 Li
0.9981 0.5322 0.5084 Li
0.4980 0.5322 0.0084 Li
0.0118 0.9921 0.5306 Ti
0.5119 0.9922 0.0307 Ti
0.9901 0.4922 0.0332 Ti
0.4901 0.4923 0.5332 Ti
0.7465 0.2526 0.7441 Fe
0.2530 0.7527 0.2453 Fe
0.2462 0.2526 0.2442 Fe
0.7533 0.7524 0.7456 Fe
0.2414 0.9938 0.7407 O
0.7415 0.9938 0.2407 O
0.7591 0.4940 0.2427 O
0.2591 0.4939 0.7427 O
0.9971 0.2083 0.4900 O
0.4970 0.2083 0.9901 O
0.0019 0.7083 0.9909 O
0.5019 0.7082 0.4908 O
0.9989 0.2745 0.9902 O
0.4990 0.2745 0.4902 O
0.9999 0.7741 0.4909 O
0.5000 0.7740 0.9910 O
0.2547 0.9972 0.2455 O
0.7547 0.9972 0.7455 O
0.2451 0.4972 0.2469 O
0.7451 0.4971 0.7469 O



Taking the most stable structure as the zero point, the relative energies in meV per atom are arrangement w 35; arrangement x 0.